{"formula": "Ca2Ta2SiS5O24", "functional": "PBE-GGA", "state": "optimized geometry", "energy_ev_per_fu": -240.31, "m_tot_mub_per_cell": 0.000, "spacegroup": "No. 1", "lattice_angstrom": [[9.0929, 0.0000, 0.0000], [4.5424, 7.8916, 0.0000], [0.0391, 0.0951, 23.1674]], "species": ["Ca", "Ca", "Ca", "Ca", "Ca", "Ca", "Ta", "Ta", "Ta", "Ta", "Ta", "Ta", "Si", "Si", "Si", "S", "S", "S", "S", "S", "S", "S", "S", "S", "S", "S", "S", "S", "S", "S", "O", "O", "O", "O", "O", "O", "O", "O", "O", "O", "O", "O", "O", "O", "O", "O", "O", "O", "O", "O", "O", "O", "O", "O", "O", "O", "O", "O", "O", "O", "O", "O", "O", "O", "O", "O", "O", "O", "O", "O", "O", "O", "O", "O", "O", "O", "O", "O", "O", "O", "O", "O", "O", "O", "O", "O", "O", "O", "O", "O", "O", "O", "O", "O", "O", "O", "O", "O", "O", "O", "O", "O"], "fractional_positions": [[0.0000, 0.0000, 0.0000], [0.0012, 0.9958, 0.4891], [0.0098, 0.9938, 0.2136], [0.3301, 0.3301, 0.8278], [0.6541, 0.6783, 0.1683], [0.6681, 0.6610, 0.6608], [0.3288, 0.3382, 0.3333], [0.3316, 0.3266, 0.0408], [0.3339, 0.3381, 0.5450], [0.6499, 0.6715, 0.3783], [0.6727, 0.6559, 0.8755], [0.9994, 0.0012, 0.7125], [0.3484, 0.6056, 0.4394], [0.3710, 0.9627, 0.2737], [0.9457, 0.3727, 0.7697], [0.0040, 0.2965, 0.1028], [0.0179, 0.7040, 0.6039], [0.0335, 0.6123, 0.9376], [0.0459, 0.3535, 0.4396], [0.2666, 0.0210, 0.6053], [0.2936, 0.6885, 0.1019], [0.3542, 0.0322, 0.9376], [0.3696, 0.6886, 0.7729], [0.5969, 0.0461, 0.4396], [0.6103, 0.3528, 0.9372], [0.6601, 0.3792, 0.2778], [0.6878, 0.9377, 0.7720], [0.6948, 0.0087, 0.1021], [0.7041, 0.2658, 0.6050], [0.9519, 0.6575, 0.2783], [0.0243, 0.2082, 0.4463], [0.0477, 0.1913, 0.1545], [0.0517, 0.7794, 0.6566], [0.1171, 0.4934, 0.9882], [0.1316, 0.5056, 0.2905], [0.1326, 0.5437, 0.8859], [0.1336, 0.3179, 0.7849], [0.1365, 0.3720, 0.4926], [0.1508, 0.0442, 0.6584], [0.1559, 0.3259, 0.3885], [0.1722, 0.3039, 0.0873], [0.1829, 0.5261, 0.5958], [0.1880, 0.7840, 0.4445], [0.1892, 0.7467, 0.1538], [0.1911, 0.9762, 0.2755], [0.1915, 0.9924, 0.5549], [0.1960, 0.8525, 0.7636], [0.2157, 0.7956, 0.0514], [0.2186, 0.9975, 0.9507], [0.2691, 0.1861, 0.5983], [0.3022, 0.5150, 0.0855], [0.3234, 0.1349, 0.8866], [0.3343, 0.5546, 0.7861], [0.3359, 0.4930, 0.3876], [0.3542, 0.1484, 0.2941], [0.3803, 0.4751, 0.4981], [0.3808, 0.1229, 0.9890], [0.4362, 0.8855, 0.6177], [0.4518, 0.7240, 0.8248], [0.4672, 0.6619, 0.7211], [0.4694, 0.6442, 0.1093], [0.4849, 0.1236, 0.4926], [0.4874, 0.8298, 0.3326], [0.4932, 0.3807, 0.9877], [0.4958, 0.8916, 0.2207], [0.5034, 0.3610, 0.2897], [0.5089, 0.1497, 0.3885], [0.5158, 0.1741, 0.0880], [0.5192, 0.8645, 0.9298], [0.5268, 0.6133, 0.4304], [0.5344, 0.2629, 0.5970], [0.5435, 0.3227, 0.8850], [0.5665, 0.1115, 0.7856], [0.6080, 0.5250, 0.9289], [0.6200, 0.8714, 0.4333], [0.6226, 0.4807, 0.2261], [0.6450, 0.8740, 0.7216], [0.6569, 0.4397, 0.6158], [0.6577, 0.8719, 0.1062], [0.6790, 0.4733, 0.3298], [0.7168, 0.8235, 0.8245], [0.7546, 0.0486, 0.1547], [0.7588, 0.0367, 0.4460], [0.7833, 0.2253, 0.9500], [0.7892, 0.1505, 0.6571], [0.7956, 0.9924, 0.0511], [0.8054, 0.1955, 0.5538], [0.8068, 0.2116, 0.2769], [0.8104, 0.4763, 0.8285], [0.8475, 0.6639, 0.3306], [0.8528, 0.4809, 0.7153], [0.8592, 0.6203, 0.9290], [0.8601, 0.9290, 0.7602], [0.8732, 0.4714, 0.1104], [0.8811, 0.6686, 0.6120], [0.8831, 0.5133, 0.4336], [0.8944, 0.6129, 0.2267], [0.9452, 0.1829, 0.7582], [0.9646, 0.8090, 0.2763], [0.9783, 0.2196, 0.0517], [0.9946, 0.7831, 0.9505], [0.9970, 0.8035, 0.5528]]}

{"formula": "KMg6C", "functional": "PBE-GGA", "state": "optimized geometry", "energy_ev_per_fu": -16.84, "m_tot_mub_per_cell": 0.033, "lattice_angstrom": [[3.1116, 0.0000, 0.0000], [0.0000, 8.6152, 0.0000], [0.0000, 0.0000, 15.0106]], "species": ["Mg", "Mg", "K", "Mg", "K", "Mg", "Mg", "C", "Mg", "Mg", "Mg", "Mg", "Mg", "C", "Mg", "Mg"], "fractional_positions": [[0.0000, 0.0000, 0.7577], [0.0000, 0.5000, 0.2577], [0.5000, 0.5000, 0.6801], [0.0000, 0.5000, 0.8965], [0.5000, 0.0000, 0.1801], [0.0000, 0.8423, 0.5844], [0.5000, 0.6780, 0.4244], [0.5000, 0.5000, 0.1481], [0.0000, 0.6577, 0.0844], [0.0000, 0.1577, 0.5844], [0.5000, 0.8220, 0.9244], [0.5000, 0.1780, 0.9244], [0.0000, 0.0000, 0.3965], [0.5000, 0.0000, 0.6481], [0.0000, 0.3423, 0.0844], [0.5000, 0.3220, 0.4244]]}

{"formula": "Ce2P3Au", "functional": "PBE-GGA", "state": "optimized geometry", "energy_ev_per_fu": -37.63, "spacegroup": "No. 62", "lattice_angstrom": [[7.6549, 0.0000, 0.0000], [0.0000, 4.1645, 0.0000], [0.0000, 0.0000, 16.0514]], "species": ["Ce", "Ce", "Ce", "Ce", "Ce", "Ce", "Ce", "Ce", "P", "P", "P", "P", "P", "P", "P", "P", "P", "P", "P", "P", "Au", "Au", "Au", "Au"], "fractional_positions": [[0.0986, 0.2500, 0.2047], [0.2395, 0.2500, 0.4754], [0.2605, 0.7500, 0.9754], [0.4014, 0.7500, 0.7047], [0.5986, 0.2500, 0.2953], [0.7395, 0.2500, 0.0246], [0.7605, 0.7500, 0.5246], [0.9014, 0.7500, 0.7953], [0.0306, 0.2500, 0.9078], [0.1178, 0.7500, 0.5876], [0.2019, 0.2500, 0.7977], [0.2981, 0.7500, 0.2977], [0.3822, 0.2500, 0.0876], [0.4694, 0.7500, 0.4078], [0.5306, 0.2500, 0.5922], [0.6178, 0.7500, 0.9124], [0.7019, 0.2500, 0.7023], [0.7981, 0.7500, 0.2023], [0.8822, 0.2500, 0.4124], [0.9694, 0.7500, 0.0922], [0.0103, 0.2500, 0.6495], [0.4897, 0.7500, 0.1495], [0.5103, 0.2500, 0.8505], [0.9897, 0.7500, 0.3505]]}

{"formula": "NiC4N6", "functional": "PBE-GGA", "state": "optimized geometry", "energy_ev_per_fu": -88.44, "m_tot_mub_per_cell": 3.998, "spacegroup": "No. 58", "lattice_angstrom": [[6.0492, 0.0000, 0.0000], [0.0000, 7.0598, 0.0000], [0.0000, 0.0000, 7.2698]], "species": ["Ni", "Ni", "C", "C", "C", "C", "C", "C", "C", "C", "N", "N", "N", "N", "N", "N", "N", "N", "N", "N", "N", "N"], "fractional_positions": [[0.0000, 0.0000, 0.0000], [0.5000, 0.5000, 0.5000], [0.2432, 0.3445, 0.1555], [0.2432, 0.3445, 0.8445], [0.2568, 0.8445, 0.3445], [0.2568, 0.8445, 0.6555], [0.7432, 0.1555, 0.3445], [0.7432, 0.1555, 0.6555], [0.7568, 0.6555, 0.1555], [0.7568, 0.6555, 0.8445], [0.1726, 0.2727, 0.0000], [0.2017, 0.9032, 0.2007], [0.2017, 0.9032, 0.7993], [0.2983, 0.4032, 0.2993], [0.2983, 0.4032, 0.7007], [0.3274, 0.7727, 0.5000], [0.6726, 0.2273, 0.5000], [0.7017, 0.5968, 0.2993], [0.7017, 0.5968, 0.7007], [0.7983, 0.0968, 0.2007], [0.7983, 0.0968, 0.7993], [0.8274, 0.7273, 0.0000]]}

{"formula": "BiH3Ru3C9O9", "functional": "PBE-GGA", "state": "optimized geometry", "energy_ev_per_fu": -183.96, "m_tot_mub_per_cell": 0.000, "spacegroup": "No. 2", "lattice_angstrom": [[8.3237, 0.0000, 0.0000], [3.3954, 8.7416, 0.0000], [3.9455, -1.0444, 12.0119]], "species": ["Bi", "Bi", "H", "H", "H", "H", "H", "H", "Ru", "Ru", "Ru", "Ru", "Ru", "Ru", "C", "C", "C", "C", "C", "C", "C", "C", "C", "C", "C", "C", "C", "C", "C", "C", "C", "C", "O", "O", "O", "O", "O", "O", "O", "O", "O", "O", "O", "O", "O", "O", "O", "O", "O", "O"], "fractional_positions": [[0.0072, 0.2151, 0.0971], [0.9928, 0.7849, 0.9029], [0.0075, 0.8545, 0.6412], [0.1569, 0.3143, 0.2947], [0.1622, 0.5939, 0.6471], [0.8378, 0.4061, 0.3529], [0.8431, 0.6857, 0.7053], [0.9925, 0.1455, 0.3588], [0.0085, 0.5467, 0.7654], [0.2015, 0.1198, 0.2493], [0.2093, 0.7592, 0.6791], [0.7907, 0.2408, 0.3209], [0.7985, 0.8802, 0.7507], [0.9915, 0.4533, 0.2346], [0.0059, 0.4201, 0.6496], [0.1792, 0.4841, 0.1146], [0.1987, 0.3996, 0.8100], [0.2262, 0.9499, 0.7078], [0.2351, 0.9125, 0.2128], [0.2873, 0.0927, 0.3760], [0.3275, 0.7284, 0.5192], [0.4166, 0.6429, 0.7216], [0.4196, 0.1103, 0.1382], [0.5804, 0.8897, 0.8618], [0.5834, 0.3571, 0.2784], [0.6725, 0.2716, 0.4808], [0.7127, 0.9073, 0.6240], [0.7649, 0.0875, 0.7872], [0.7738, 0.0501, 0.2922], [0.8013, 0.6004, 0.1900], [0.8208, 0.5159, 0.8854], [0.9941, 0.5799, 0.3504], [0.0045, 0.6542, 0.4171], [0.2366, 0.0667, 0.7234], [0.2543, 0.7865, 0.1934], [0.2943, 0.5029, 0.0428], [0.3152, 0.3077, 0.8349], [0.3467, 0.0764, 0.4490], [0.4074, 0.7096, 0.4245], [0.4446, 0.8928, 0.9266], [0.4567, 0.4311, 0.2539], [0.5433, 0.5689, 0.7461], [0.5554, 0.1072, 0.0734], [0.5926, 0.2904, 0.5755], [0.6533, 0.9236, 0.5510], [0.6848, 0.6923, 0.1651], [0.7057, 0.4971, 0.9572], [0.7457, 0.2135, 0.8066], [0.7634, 0.9333, 0.2766], [0.9955, 0.3458, 0.5829]]}

{"formula": "ScAs2H4NO7", "functional": "PBE-GGA", "state": "optimized geometry", "energy_ev_per_fu": -93.39, "m_tot_mub_per_cell": 0.000, "spacegroup": "No. 14", "lattice_angstrom": [[8.0439, 0.0000, 0.0000], [0.0000, 10.8569, 0.0000], [-2.6005, 0.0000, 8.6087]], "species": ["Sc", "Sc", "Sc", "Sc", "As", "As", "As", "As", "As", "As", "As", "As", "H", "H", "H", "H", "H", "H", "H", "H", "H", "H", "H", "H", "H", "H", "H", "H", "N", "N", "N", "N", "O", "O", "O", "O", "O", "O", "O", "O", "O", "O", "O", "O", "O", "O", "O", "O", "O", "O", "O", "O", "O", "O", "O", "O", "O", "O", "O", "O"], "fractional_positions": [[0.2386, 0.1016, 0.2594], [0.2386, 0.3984, 0.7594], [0.7614, 0.6016, 0.2406], [0.7614, 0.8984, 0.7406], [0.1336, 0.0943, 0.8314], [0.1336, 0.4057, 0.3314], [0.4365, 0.1331, 0.6864], [0.4365, 0.3669, 0.1864], [0.5635, 0.6331, 0.8136], [0.5635, 0.8669, 0.3136], [0.8664, 0.5943, 0.6686], [0.8664, 0.9057, 0.1686], [0.1026, 0.7394, 0.9867], [0.1026, 0.7606, 0.4867], [0.1077, 0.6303, 0.1224], [0.1077, 0.8697, 0.6224], [0.2208, 0.6124, 0.9933], [0.2208, 0.8876, 0.4933], [0.2897, 0.7158, 0.1363], [0.2897, 0.7842, 0.6363], [0.7103, 0.2158, 0.3637], [0.7103, 0.2842, 0.8637], [0.7792, 0.1124, 0.5067], [0.7792, 0.3876, 0.0067], [0.8923, 0.1303, 0.3776], [0.8923, 0.3697, 0.8776], [0.8974, 0.2394, 0.5133], [0.8974, 0.2606, 0.0133], [0.1803, 0.6761, 0.0602], [0.1803, 0.8239, 0.5602], [0.8197, 0.1761, 0.4398], [0.8197, 0.3239, 0.9398], [0.0067, 0.0129, 0.2735], [0.0067, 0.4871, 0.7735], [0.0857, 0.2360, 0.7494], [0.0857, 0.2640, 0.2494], [0.1520, 0.0924, 0.0222], [0.1520, 0.4076, 0.5222], [0.3113, 0.1082, 0.5025], [0.3113, 0.3918, 0.0025], [0.3394, 0.0464, 0.8105], [0.3394, 0.4536, 0.3105], [0.3619, 0.5714, 0.7749], [0.3619, 0.9286, 0.2749], [0.4528, 0.2179, 0.2494], [0.4528, 0.2821, 0.7494], [0.5472, 0.7179, 0.2506], [0.5472, 0.7821, 0.7506], [0.6381, 0.0714, 0.7251], [0.6381, 0.4286, 0.2251], [0.6606, 0.5464, 0.6895], [0.6606, 0.9536, 0.1895], [0.6887, 0.6082, 0.9975], [0.6887, 0.8918, 0.4975], [0.8480, 0.5924, 0.4778], [0.8480, 0.9076, 0.9778], [0.9143, 0.7360, 0.7506], [0.9143, 0.7640, 0.2506], [0.9933, 0.5129, 0.2265], [0.9933, 0.9871, 0.7265]]}

{"formula": "Rb2ZrF6", "functional": "PBE-GGA", "state": "optimized geometry", "energy_ev_per_fu": -52.16, "spacegroup": "No. 164", "lattice_angstrom": [[6.2703, 0.0000, 0.0000], [-3.1352, 5.4303, 0.0000], [0.0000, 0.0000, 4.9242]], "species": ["Rb", "Rb", "Zr", "F", "F", "F", "F", "F", "F"], "fractional_positions": [[0.3333, 0.6667, 0.3116], [0.6667, 0.3333, 0.6884], [0.0000, 0.0000, 0.0000], [0.1575, 0.3150, 0.7720], [0.1575, 0.8425, 0.7720], [0.3150, 0.1575, 0.2280], [0.6850, 0.8425, 0.7720], [0.8425, 0.1575, 0.2280], [0.8425, 0.6850, 0.2280]]}

{"formula": "Na4Sn2C4SO16", "functional": "PBE-GGA", "state": "optimized geometry", "energy_ev_per_fu": -174.29, "m_tot_mub_per_cell": 0.000, "spacegroup": "No. 1", "lattice_angstrom": [[10.0227, 0.0000, 0.0000], [-4.9884, 8.7652, 0.0000], [-4.5215, -3.0736, 17.0880]], "species": ["Na", "Na", "Na", "Na", "Na", "Na", "Na", "Na", "Na", "Na", "Na", "Na", "Na", "Na", "Na", "Na", "Sn", "Sn", "Sn", "Sn", "Sn", "Sn", "Sn", "Sn", "C", "C", "C", "C", "C", "C", "C", "C", "C", "C", "C", "C", "C", "C", "C", "C", "S", "S", "S", "S", "O", "O", "O", "O", "O", "O", "O", "O", "O", "O", "O", "O", "O", "O", "O", "O", "O", "O", "O", "O", "O", "O", "O", "O", "O", "O", "O", "O", "O", "O", "O", "O", "O", "O", "O", "O", "O", "O", "O", "O", "O", "O", "O", "O", "O", "O", "O", "O", "O", "O", "O", "O", "O", "O", "O", "O", "O", "O", "O", "O", "O", "O", "O", "O"], "fractional_positions": [[0.0000, 0.0000, 0.0000], [0.0004, 0.2015, 0.1965], [0.0042, 0.7105, 0.6983], [0.2322, 0.7963, 0.0767], [0.2389, 0.1084, 0.3748], [0.2398, 0.3280, 0.5782], [0.2427, 0.6059, 0.8810], [0.2436, 0.0344, 0.8731], [0.2449, 0.5396, 0.3770], [0.3975, 0.9036, 0.5003], [0.6073, 0.7651, 0.0760], [0.6120, 0.2282, 0.0784], [0.6456, 0.0249, 0.8668], [0.6473, 0.5260, 0.3704], [0.6558, 0.7385, 0.5760], [0.6651, 0.3338, 0.5739], [0.3263, 0.3653, 0.7858], [0.3306, 0.8672, 0.2798], [0.8087, 0.8597, 0.7802], [0.8170, 0.5893, 0.0321], [0.8181, 0.8594, 0.2868], [0.8192, 0.3612, 0.2880], [0.8240, 0.3622, 0.7861], [0.8353, 0.1159, 0.5349], [0.0169, 0.5209, 0.1770], [0.0283, 0.7154, 0.3611], [0.0351, 0.9081, 0.1814], [0.0401, 0.2307, 0.8626], [0.0566, 0.4149, 0.6863], [0.0612, 0.0465, 0.6849], [0.5864, 0.6883, 0.8924], [0.5890, 0.3036, 0.8878], [0.5980, 0.7997, 0.3936], [0.6060, 0.4897, 0.7059], [0.6120, 0.2050, 0.3993], [0.6170, 0.0109, 0.2034], [0.6708, 0.0483, 0.6751], [0.6719, 0.5352, 0.1878], [0.9876, 0.1954, 0.3854], [0.9902, 0.6871, 0.8941], [0.1961, 0.7955, 0.5976], [0.2004, 0.3011, 0.0980], [0.4442, 0.4233, 0.4747], [0.4441, 0.9236, 0.9745], [0.0023, 0.8193, 0.8913], [0.0078, 0.8345, 0.3562], [0.0086, 0.6323, 0.9565], [0.0150, 0.7024, 0.5732], [0.0158, 0.2000, 0.0727], [0.0170, 0.4620, 0.2439], [0.0211, 0.3505, 0.8554], [0.0238, 0.1717, 0.4540], [0.0295, 0.8586, 0.1140], [0.0475, 0.3596, 0.6203], [0.0651, 0.9744, 0.7426], [0.1413, 0.6494, 0.1774], [0.1584, 0.9643, 0.2425], [0.1686, 0.7371, 0.3718], [0.1733, 0.2437, 0.8558], [0.1842, 0.1898, 0.6895], [0.1844, 0.4673, 0.7478], [0.2515, 0.4483, 0.0680], [0.2534, 0.9470, 0.5684], [0.2553, 0.3286, 0.1859], [0.2558, 0.8233, 0.6855], [0.2582, 0.2074, 0.0654], [0.2600, 0.7097, 0.5635], [0.3727, 0.0051, 0.0042], [0.3785, 0.3842, 0.3871], [0.3821, 0.5141, 0.5048], [0.3858, 0.8932, 0.8866], [0.3875, 0.7708, 0.0021], [0.3937, 0.2777, 0.5082], [0.4594, 0.2582, 0.8283], [0.4598, 0.5428, 0.8820], [0.4690, 0.7209, 0.3373], [0.4731, 0.0896, 0.3965], [0.4733, 0.4770, 0.7133], [0.4758, 0.9869, 0.1809], [0.5932, 0.7638, 0.8356], [0.5956, 0.3387, 0.9574], [0.6032, 0.8496, 0.4618], [0.6231, 0.0191, 0.0032], [0.6244, 0.5181, 0.4983], [0.6247, 0.2569, 0.3308], [0.6287, 0.3729, 0.7148], [0.6386, 0.8930, 0.2133], [0.6575, 0.9154, 0.6737], [0.6590, 0.1090, 0.6136], [0.6610, 0.5745, 0.1212], [0.6747, 0.4075, 0.1980], [0.6789, 0.6174, 0.2486], [0.6906, 0.7435, 0.9602], [0.7036, 0.1255, 0.7456], [0.7063, 0.6124, 0.6867], [0.7134, 0.3036, 0.8750], [0.7317, 0.2712, 0.4609], [0.7409, 0.8340, 0.3847], [0.7446, 0.1518, 0.2144], [0.8929, 0.4462, 0.1168], [0.9006, 0.9016, 0.1884], [0.9022, 0.5776, 0.3555], [0.9329, 0.4239, 0.6951], [0.9337, 0.1044, 0.8761], [0.9411, 0.9883, 0.6224], [0.9586, 0.6030, 0.8247], [0.9700, 0.1045, 0.3242], [0.9762, 0.3182, 0.3723]]}